No. 1
Pr3WCl3O6 after structural relaxation. Source: the Materials Project database, functional GGA+U.

```
Pr3WCl3O6
1.0
9.430 0.000 0.000
-4.715 8.167 0.000
0.000 0.000 5.446
Pr W Cl O
6 2 6 12
Cartesian
-1.055 3.303 1.361 Pr
-1.327 7.428 1.361 Pr
2.333 2.565 4.084 Pr
2.382 5.601 1.361 Pr
6.042 0.738 4.084 Pr
5.770 4.863 4.084 Pr
0.000 5.444 4.084 W
4.715 2.722 1.361 W
-0.680 1.964 4.084 Cl
-2.674 7.773 4.084 Cl
1.361 1.571 1.361 Cl
3.354 6.596 4.084 Cl
7.389 0.393 1.361 Cl
5.395 6.202 1.361 Cl
-1.488 5.194 2.825 O
-1.488 5.194 5.344 O
0.961 4.281 2.825 O
0.961 4.281 5.344 O
0.527 6.858 2.825 O
0.527 6.858 5.344 O
4.188 1.308 0.102 O
4.188 1.308 2.621 O
3.754 3.885 0.102 O
3.754 3.885 2.621 O
6.203 2.973 0.102 O
6.203 2.973 2.621 O
```

Values from the calculation:
Energy of formation from the pure elements, eV per formula unit: -38.59
MP2020-corrected energy, eV per cell: -202.3
Magnetic moment, μB per formula unit: 0.00

***

No. 2
Te3W2Se4Cl8O2 after structural relaxation. Source: the Materials Project database, functional GGA+U.

```
Te3W2Se4Cl8O2
1.0
6.408 -5.570 0.000
6.408 5.570 0.000
-3.063 0.000 15.166
Te W Se Cl O
6 4 8 16 4
Cartesian
4.877 4.621 7.583 Te
5.143 4.010 2.956 Te
4.666 4.021 12.219 Te
3.612 -4.010 10.539 Te
6.408 -4.621 0.000 Te
6.197 -4.021 4.636 Te
4.496 0.098 9.400 W
5.333 0.107 5.618 W
6.027 -0.098 1.817 W
3.802 -0.107 13.201 W
0.310 0.678 7.069 Se
-0.547 0.473 11.001 Se
0.984 -0.473 3.418 Se
-1.221 -0.678 14.652 Se
9.477 0.713 8.103 Se
10.354 0.474 4.154 Se
8.823 -0.474 11.737 Se
11.008 -0.713 0.520 Se
3.162 2.075 9.298 Cl
3.368 1.467 5.202 Cl
2.500 1.944 13.068 Cl
4.062 1.224 1.471 Cl
6.633 2.093 5.879 Cl
7.312 1.953 2.071 Cl
2.530 -1.224 9.054 Cl
1.837 -1.467 12.785 Cl
6.424 1.454 9.958 Cl
5.742 1.209 13.678 Cl
4.031 -1.944 5.485 Cl
4.694 -2.075 1.715 Cl
7.274 -1.209 6.095 Cl
5.781 -1.953 9.654 Cl
7.956 -1.454 2.375 Cl
5.102 -2.093 13.462 Cl
4.902 0.151 7.550 O
5.673 0.017 3.760 O
4.141 -0.017 11.343 O
3.371 -0.151 15.133 O
```

Values from the calculation:
Energy of formation from the pure elements, eV per formula unit: -13.24
MP2020-corrected energy, eV per cell: -174.5

***

No. 3
Sm3WCl3O6 after structural relaxation. Source: the Materials Project database, functional GGA+U.

```
Sm3WCl3O6
1.0
9.272 0.000 0.000
-4.636 8.030 0.000
0.000 0.000 5.367
Sm W Cl O
6 2 6 12
Cartesian
-2.339 5.509 1.342 Sm
1.035 3.249 1.342 Sm
3.331 0.729 4.025 Sm
1.305 7.301 1.342 Sm
3.601 4.781 4.025 Sm
6.976 2.521 4.025 Sm
0.000 5.353 4.025 W
4.636 2.677 1.342 W
-3.297 6.498 4.025 Cl
0.657 1.926 4.025 Cl
1.997 0.394 1.342 Cl
2.639 7.636 4.025 Cl
3.979 6.104 1.342 Cl
7.933 1.532 1.342 Cl
-0.959 4.191 2.764 O
-0.959 4.191 5.286 O
-0.527 6.765 2.764 O
-0.527 6.765 5.286 O
1.487 5.104 2.764 O
1.487 5.104 5.286 O
3.150 2.926 0.081 O
3.150 2.926 2.603 O
5.163 1.265 0.081 O
5.163 1.265 2.603 O
5.595 3.839 0.081 O
5.595 3.839 2.603 O
```

Values from the calculation:
Energy of formation from the pure elements, eV per formula unit: -38.60
MP2020-corrected energy, eV per cell: -201.9
Magnetic moment, μB per formula unit: 0.00

***

No. 4
SrVClO3 after structural relaxation. Source: the Materials Project database, functional GGA+U.

```
SrVClO3
1.0
10.246 0.000 0.000
0.000 5.334 0.000
0.000 0.000 7.086
Sr V Cl O
4 4 4 12
Cartesian
1.934 1.334 0.687 Sr
3.189 4.001 4.230 Sr
7.057 1.334 2.856 Sr
8.312 4.001 6.399 Sr
0.386 1.334 3.955 V
4.737 4.001 0.412 V
5.509 1.334 6.674 V
9.860 4.001 3.131 V
1.108 4.001 6.609 Cl
4.015 1.334 3.066 Cl
6.231 4.001 4.020 Cl
9.138 1.334 0.477 Cl
1.022 2.699 2.863 O
1.022 5.302 2.863 O
1.420 1.334 5.234 O
3.703 4.001 1.691 O
4.101 0.032 6.406 O
4.101 2.635 6.406 O
6.145 2.699 0.679 O
6.145 5.302 0.679 O
6.543 1.334 5.395 O
8.826 4.001 1.852 O
9.224 0.032 4.222 O
9.224 2.635 4.222 O
```

Values from the calculation:
Energy of formation from the pure elements, eV per formula unit: -15.81
MP2020-corrected energy, eV per cell: -173.1
Magnetic moment, μB per formula unit: 0.00

***

Q: Which formula does entry 1 have?
A: Pr3WCl3O6

***

Q: What is the formula in the second record?
A: Te3W2Se4Cl8O2

***

Repeat the fourth record exactly.
SrVClO3 after structural relaxation. Source: the Materials Project database, functional GGA+U.

```
SrVClO3
1.0
10.246 0.000 0.000
0.000 5.334 0.000
0.000 0.000 7.086
Sr V Cl O
4 4 4 12
Cartesian
1.934 1.334 0.687 Sr
3.189 4.001 4.230 Sr
7.057 1.334 2.856 Sr
8.312 4.001 6.399 Sr
0.386 1.334 3.955 V
4.737 4.001 0.412 V
5.509 1.334 6.674 V
9.860 4.001 3.131 V
1.108 4.001 6.609 Cl
4.015 1.334 3.066 Cl
6.231 4.001 4.020 Cl
9.138 1.334 0.477 Cl
1.022 2.699 2.863 O
1.022 5.302 2.863 O
1.420 1.334 5.234 O
3.703 4.001 1.691 O
4.101 0.032 6.406 O
4.101 2.635 6.406 O
6.145 2.699 0.679 O
6.145 5.302 0.679 O
6.543 1.334 5.395 O
8.826 4.001 1.852 O
9.224 0.032 4.222 O
9.224 2.635 4.222 O
```

Values from the calculation:
Energy of formation from the pure elements, eV per formula unit: -15.81
MP2020-corrected energy, eV per cell: -173.1
Magnetic moment, μB per formula unit: 0.00

***

Q: Look up the energy of formation from the pure elements of the first one.
A: -38.59 eV per formula unit